1.
# H24PtN8Cl2

A relaxed H24PtN8Cl2 crystal (GGA-PBE, Materials Project).

Lattice parameters (Å, degrees): 8.2317 10.6450 10.9736 90.00 125.54 90.00
With the nearest neighbours (Å) after each atom.
Atoms (fractional coordinates):
H (0.7969, 0.8897, 0.2398)  1 N 1.03
H (0.6631, 0.6363, 0.4014)  1 N 1.03
H (0.7781, 0.4145, 0.2815)  1 N 1.03
H (0.7781, 0.0855, 0.7815)  1 N 1.03
H (0.8975, 0.2834, 0.3074)  1 N 1.03
H (0.7333, 0.4844, 0.7953)  1 N 1.05
H (0.2250, 0.6438, 0.9884)  1 N 1.02
H (0.3369, 0.3637, 0.5986)  1 N 1.03
H (0.6608, 0.7194, 0.5286)  1 N 1.04
H (0.7180, 0.9997, 0.5247)  1 N 1.03
H (0.2031, 0.1103, 0.7602)  1 N 1.03
H (0.7969, 0.6103, 0.7398)  1 N 1.03
H (0.7750, 0.3562, 0.0116)  1 N 1.02
H (0.3369, 0.1363, 0.0986)  1 N 1.03
H (0.1025, 0.7834, 0.1926)  1 N 1.03
H (0.6608, 0.7806, 0.0286)  1 N 1.04
H (0.3392, 0.2806, 0.4714)  1 N 1.04
H (0.1025, 0.7166, 0.6926)  1 N 1.03
H (0.5437, 0.0968, 0.4005)  1 N 1.03
H (0.2821, 0.4997, 0.9753)  1 N 1.03
H (0.1318, 0.5330, 0.2746)  1 N 1.03
H (0.8682, 0.0330, 0.2254)  1 N 1.03
H (0.6631, 0.8637, 0.9014)  1 N 1.03
H (0.1318, 0.9670, 0.7746)  1 N 1.03
H (0.2219, 0.9145, 0.2185)  1 N 1.03
H (0.4550, 0.7108, 0.3523)  1 N 1.04
H (0.3392, 0.2194, 0.9714)  1 N 1.04
H (0.8307, 0.3206, 0.4166)  1 N 1.02
H (0.4563, 0.5968, 0.0995)  1 N 1.03
H (0.7333, 0.0156, 0.2953)  1 N 1.05
H (0.8307, 0.1794, 0.9166)  1 N 1.02
H (0.2250, 0.8562, 0.4884)  1 N 1.02
H (0.5450, 0.2108, 0.1477)  1 N 1.04
H (0.2219, 0.5855, 0.7185)  1 N 1.03
H (0.2821, 0.0003, 0.4753)  1 N 1.03
H (0.4563, 0.9032, 0.5995)  1 N 1.03
H (0.4550, 0.7892, 0.8523)  1 N 1.04
H (0.8975, 0.2166, 0.8074)  1 N 1.03
H (0.1693, 0.6794, 0.5834)  1 N 1.02
H (0.2667, 0.5156, 0.2047)  1 N 1.05
H (0.7750, 0.1438, 0.5116)  1 N 1.02
H (0.2667, 0.9844, 0.7047)  1 N 1.05
H (0.8682, 0.4670, 0.7254)  1 N 1.03
H (0.5450, 0.2892, 0.6477)  1 N 1.04
H (0.5437, 0.4032, 0.9005)  1 N 1.03
H (0.7180, 0.5003, 0.0247)  1 N 1.03
H (0.2031, 0.3897, 0.2602)  1 N 1.03
H (0.1693, 0.8206, 0.0834)  1 N 1.02
N (0.2459, 0.4826, 0.2847)  3 H 1.03-1.05
N (0.7827, 0.3213, 0.3071)  3 H 1.02-1.03
N (0.3114, 0.5691, 0.0507)  3 H 1.02-1.03
N (0.2173, 0.6787, 0.6929)  3 H 1.02-1.03
N (0.4232, 0.3403, 0.5621)  3 H 1.03-1.04
N (0.4232, 0.1597, 0.0621)  3 H 1.03-1.04
N (0.5768, 0.8403, 0.9379)  3 H 1.03-1.04
N (0.6886, 0.0691, 0.4493)  3 H 1.02-1.03
N (0.5768, 0.6597, 0.4379)  3 H 1.03-1.04
N (0.2173, 0.8213, 0.1929)  3 H 1.02-1.03
N (0.2459, 0.0174, 0.7847)  3 H 1.03-1.05
N (0.3114, 0.9309, 0.5507)  3 H 1.02-1.03
N (0.7541, 0.5174, 0.7153)  3 H 1.03-1.05
N (0.7541, 0.9826, 0.2153)  3 H 1.03-1.05
N (0.6886, 0.4309, 0.9493)  3 H 1.02-1.03
N (0.7827, 0.1787, 0.8071)  3 H 1.02-1.03
Pt (0.5000, 0.5000, 0.5000)  4 N 2.06
Pt (0.5000, 0.0000, 0.0000)  4 N 2.06
Cl (0.1462, 0.1694, 0.2480)  3 H 2.33-2.60
Cl (0.8538, 0.8306, 0.7520)  3 H 2.33-2.60
Cl (0.1462, 0.3306, 0.7480)  3 H 2.33-2.60
Cl (0.8538, 0.6694, 0.2520)  3 H 2.33-2.60

Output
space-group type: No. 14
formation enthalpy at 0 K: -457 meV per atom



2.
# KIrO3

A relaxed KIrO3 crystal (GGA-PBE, Materials Project).

Lattice parameters (Å, degrees): 9.5823 9.5823 9.5823 90.00 90.00 90.00
With the nearest neighbours (Å) after each atom.
Atoms (fractional coordinates):
O (0.4967, 0.1532, 0.2043)  2 Ir 1.96-1.97
O (0.2957, 0.9967, 0.6532)  2 Ir 1.96-1.97
O (0.2043, 0.4967, 0.1532)  2 Ir 1.96-1.97
O (0.5033, 0.1532, 0.7957)  2 Ir 1.96-1.97
O (0.5000, 0.5000, 0.1367)  2 Ir 2.01
O (0.6367, 0.0000, 0.0000)  2 Ir 2.01
O (0.5033, 0.8468, 0.2043)  2 Ir 1.96-1.97
O (0.9967, 0.6532, 0.2957)  2 Ir 1.96-1.97
O (0.7957, 0.4967, 0.8468)  2 Ir 1.96-1.97
O (0.1532, 0.7957, 0.5033)  2 Ir 1.96-1.97
O (0.1532, 0.2043, 0.4967)  2 Ir 1.96-1.97
O (0.5000, 0.1367, 0.5000)  2 Ir 2.01
O (0.0033, 0.3468, 0.2957)  2 Ir 1.96-1.97
O (0.6532, 0.7043, 0.0033)  2 Ir 1.96-1.97
O (0.8468, 0.7957, 0.4967)  2 Ir 1.96-1.97
O (0.3468, 0.2957, 0.0033)  2 Ir 1.96-1.97
O (0.2957, 0.0033, 0.3468)  2 Ir 1.96-1.97
O (0.0000, 0.6367, 0.0000)  2 Ir 2.01
O (0.2043, 0.5033, 0.8468)  2 Ir 1.96-1.97
O (0.5000, 0.5000, 0.8633)  2 Ir 2.01
O (0.5000, 0.8633, 0.5000)  2 Ir 2.01
O (0.7043, 0.9967, 0.3468)  2 Ir 1.96-1.97
O (0.9967, 0.3468, 0.7043)  2 Ir 1.96-1.97
O (0.0000, 0.0000, 0.3633)  2 Ir 2.01
O (0.4967, 0.8468, 0.7957)  2 Ir 1.96-1.97
O (0.3468, 0.7043, 0.9967)  2 Ir 1.96-1.97
O (0.0000, 0.3633, 0.0000)  2 Ir 2.01
O (0.1367, 0.5000, 0.5000)  2 Ir 2.01
O (0.8468, 0.2043, 0.5033)  2 Ir 1.96-1.97
O (0.7043, 0.0033, 0.6532)  2 Ir 1.96-1.97
O (0.8633, 0.5000, 0.5000)  2 Ir 2.01
O (0.0000, 0.0000, 0.6367)  2 Ir 2.01
O (0.7957, 0.5033, 0.1532)  2 Ir 1.96-1.97
O (0.6532, 0.2957, 0.9967)  2 Ir 1.96-1.97
O (0.0033, 0.6532, 0.7043)  2 Ir 1.96-1.97
O (0.3633, 0.0000, 0.0000)  2 Ir 2.01
K (0.6547, 0.6547, 0.3453)  6 O 2.71-2.90
K (0.8453, 0.8453, 0.1547)  6 O 2.71-2.90
K (0.3453, 0.3453, 0.3453)  6 O 2.71-2.90
K (0.2500, 0.2500, 0.7500)  6 O 2.63
K (0.2500, 0.7500, 0.2500)  6 O 2.63
K (0.3453, 0.6547, 0.6547)  6 O 2.71-2.90
K (0.8453, 0.1547, 0.8453)  6 O 2.71-2.90
K (0.1547, 0.1547, 0.1547)  6 O 2.71-2.90
K (0.6547, 0.3453, 0.6547)  6 O 2.71-2.90
K (0.7500, 0.2500, 0.2500)  6 O 2.63
K (0.7500, 0.7500, 0.7500)  6 O 2.63
K (0.1547, 0.8453, 0.8453)  6 O 2.71-2.90
Ir (0.5000, 0.0000, 0.6588)  6 O 1.96-2.01
Ir (0.5000, 0.0000, 0.3412)  6 O 1.96-2.01
Ir (0.0000, 0.3412, 0.5000)  6 O 1.96-2.01
Ir (0.1588, 0.0000, 0.5000)  6 O 1.96-2.01
Ir (0.5000, 0.8412, 0.0000)  6 O 1.96-2.01
Ir (0.0000, 0.5000, 0.1588)  6 O 1.96-2.01
Ir (0.8412, 0.0000, 0.5000)  6 O 1.96-2.01
Ir (0.0000, 0.5000, 0.8412)  6 O 1.96-2.01
Ir (0.6588, 0.5000, 0.0000)  6 O 1.96-2.01
Ir (0.3412, 0.5000, 0.0000)  6 O 1.96-2.01
Ir (0.5000, 0.1588, 0.0000)  6 O 1.96-2.01
Ir (0.0000, 0.6588, 0.5000)  6 O 1.96-2.01

Output
space-group type: No. 201
formation enthalpy at 0 K: -1514 meV per atom



3.
# Mg6TiNb

A relaxed Mg6TiNb crystal (GGA-PBE, Materials Project).

Lattice parameters (Å, degrees): 5.0272 6.1028 10.9088 90.00 90.00 90.00
With the nearest neighbours (Å) after each atom.
Atoms (fractional coordinates):
Mg (0.0000, 0.2470, 0.5896)  8 Mg 2.97-3.28, 2 Nb 3.05, 2 Ti 3.07
Mg (0.0000, 0.5000, 0.8269)  10 Mg 3.01-3.24, 2 Ti 3.06
Mg (0.0000, 0.7470, 0.0896)  8 Mg 2.97-3.28, 2 Nb 3.05, 2 Ti 3.07
Mg (0.5000, 0.7492, 0.4181)  8 Mg 3.04-3.13, 2 Ti 3.11-3.14, 2 Nb 3.11-3.14
Mg (0.5000, 0.7508, 0.9181)  8 Mg 3.04-3.13, 2 Ti 3.11-3.14, 2 Nb 3.11-3.14
Mg (0.0000, 0.7530, 0.5896)  8 Mg 2.97-3.28, 2 Nb 3.05, 2 Ti 3.07
Mg (0.0000, 0.0000, 0.8244)  10 Mg 2.97-3.28, 2 Nb 3.05
Mg (0.0000, 0.5000, 0.3244)  10 Mg 2.97-3.28, 2 Nb 3.05
Mg (0.5000, 0.2508, 0.4181)  8 Mg 3.04-3.13, 2 Ti 3.11-3.14, 2 Nb 3.11-3.14
Mg (0.5000, 0.2492, 0.9181)  8 Mg 3.04-3.13, 2 Ti 3.11-3.14, 2 Nb 3.11-3.14
Mg (0.0000, 0.0000, 0.3269)  10 Mg 3.01-3.24, 2 Ti 3.06
Mg (0.0000, 0.2530, 0.0896)  8 Mg 2.97-3.28, 2 Nb 3.05, 2 Ti 3.07
Ti (0.5000, 0.5000, 0.6666)  2 Nb 3.05, 10 Mg 3.06-3.14
Ti (0.5000, 0.0000, 0.1666)  2 Nb 3.05, 10 Mg 3.06-3.14
Nb (0.5000, 0.5000, 0.1667)  10 Mg 3.05-3.14, 2 Ti 3.05
Nb (0.5000, 0.0000, 0.6667)  10 Mg 3.05-3.14, 2 Ti 3.05

Output
formation enthalpy at 0 K: 233 meV per atom
ΔE to the lowest computed polymorph: 80.9 meV per atom
magnetic moment: 0.289 μB/atom



4.
# HfMg14BO15

A relaxed HfMg14BO15 crystal (GGA-PBE, Materials Project).

Lattice parameters (Å, degrees): 8.4795 8.9156 4.3330 90.00 90.00 90.00
With the nearest neighbours (Å) after each atom.
Atoms (fractional coordinates):
O (0.2491, 0.2364, 0.5000)  6 Mg 2.11-2.35
O (0.5066, 0.2484, 0.0000)  6 Mg 2.06-2.25
O (0.7683, 0.0000, 0.0000)  1 B 1.42
O (0.2491, 0.7636, 0.5000)  6 Mg 2.11-2.35
O (0.7516, 0.7475, 0.5000)  6 Mg 2.12-2.25
O (0.9967, 0.2740, 0.0000)  1 Hf 2.02, 4 Mg 2.10-2.20
O (0.7516, 0.2525, 0.5000)  6 Mg 2.12-2.25
O (0.7441, 0.5000, 0.0000)  5 Mg 2.11-2.17, 1 Hf 2.34
O (0.9876, 0.0000, 0.5000)  4 Mg 1.98-2.14, 2 B 2.21
O (0.2794, 0.0000, 0.0000)  3 Mg 1.93-2.01
O (0.0015, 0.5000, 0.5000)  4 Mg 2.15-2.41, 2 Hf 2.17
O (0.5176, 0.0000, 0.5000)  5 Mg 2.01-2.19
O (0.5066, 0.7516, 0.0000)  6 Mg 2.06-2.25
O (0.4994, 0.5000, 0.5000)  6 Mg 2.07-2.27
O (0.9967, 0.7260, 0.0000)  1 Hf 2.02, 4 Mg 2.10-2.20
Mg (0.2400, 0.0000, 0.5000)  6 O 2.11-2.35
Mg (0.0003, 0.7698, 0.5000)  5 O 2.06-2.20
Mg (0.7463, 0.5000, 0.5000)  6 O 2.09-2.21
Mg (0.2486, 0.7763, 0.0000)  5 O 2.01-2.20
Mg (0.2486, 0.2237, 0.0000)  5 O 2.01-2.20
Mg (0.5073, 0.0000, 0.0000)  1 O 1.93
Mg (0.0003, 0.2302, 0.5000)  5 O 2.06-2.20
Mg (0.2552, 0.5000, 0.5000)  2 O 2.07-2.15
Mg (0.7545, 0.0000, 0.5000)  4 O 1.98-2.17
Mg (0.4992, 0.7550, 0.5000)  6 O 2.12-2.27
Mg (0.7490, 0.7364, 0.0000)  5 O 2.06-2.17
Mg (0.4992, 0.2450, 0.5000)  6 O 2.12-2.27
Mg (0.4915, 0.5000, 0.0000)  5 O 2.14-2.25
Mg (0.7490, 0.2636, 0.0000)  5 O 2.06-2.17
B (0.9357, 0.0000, 0.0000)  1 O 1.42
Hf (0.0197, 0.5000, 0.0000)  4 O 2.02-2.17

Output
space-group type: No. 25
formation enthalpy at 0 K: -2651 meV per atom
ΔE to the lowest computed polymorph: 65.5 meV per atom
magnetic moment: 0.011 μB/atom



5.
# Cs5SiAs3

A relaxed Cs5SiAs3 crystal (GGA-PBE, Materials Project).

Lattice parameters (Å, degrees): 6.1289 14.7546 16.2069 90.00 90.00 90.00
With the nearest neighbours (Å) after each atom.
Atoms (fractional coordinates):
Cs (0.7500, 0.3805, 0.6865)  4 As 3.66-3.78, 3 Cs 3.85-3.90
Cs (0.2500, 0.5646, 0.5487)  5 As 3.81-4.08, 4 Cs 3.90-4.03, 2 Si 4.02
Cs (0.2500, 0.6195, 0.3135)  4 As 3.66-3.78, 3 Cs 3.85-3.90
Cs (0.7500, 0.9495, 0.3459)  4 Cs 3.78-4.11, 4 As 3.97-4.03
Cs (0.7500, 0.9354, 0.0487)  5 As 3.81-4.08, 4 Cs 3.90-4.03, 2 Si 4.02
Cs (0.2500, 0.3553, 0.0478)  5 As 3.73-3.91, 3 Cs 3.78-4.14, 2 Si 3.96
Cs (0.2500, 0.5505, 0.8459)  4 Cs 3.78-4.11, 4 As 3.97-4.03
Cs (0.2500, 0.8553, 0.4522)  5 As 3.73-3.91, 3 Cs 3.78-4.14, 2 Si 3.96
Cs (0.7500, 0.4354, 0.4513)  5 As 3.81-4.08, 4 Cs 3.90-4.03, 2 Si 4.02
Cs (0.7500, 0.4495, 0.1541)  4 Cs 3.78-4.11, 4 As 3.97-4.03
Cs (0.7500, 0.7225, 0.2047)  5 As 3.67-4.00, 2 Si 3.84, 5 Cs 3.85-4.11
Cs (0.2500, 0.0505, 0.6541)  4 Cs 3.78-4.11, 4 As 3.97-4.03
Cs (0.2500, 0.1195, 0.1865)  4 As 3.66-3.78, 3 Cs 3.85-3.90
Cs (0.7500, 0.2225, 0.2953)  5 As 3.67-4.00, 2 Si 3.84, 5 Cs 3.85-4.11
Cs (0.2500, 0.0646, 0.9513)  5 As 3.81-4.08, 4 Cs 3.90-4.03, 2 Si 4.02
Cs (0.7500, 0.1447, 0.5478)  5 As 3.73-3.91, 3 Cs 3.78-4.14, 2 Si 3.96
Cs (0.2500, 0.7775, 0.7047)  5 As 3.67-4.00, 2 Si 3.84, 5 Cs 3.85-4.11
Cs (0.2500, 0.2775, 0.7953)  5 As 3.67-4.00, 2 Si 3.84, 5 Cs 3.85-4.11
Cs (0.7500, 0.8805, 0.8135)  4 As 3.66-3.78, 3 Cs 3.85-3.90
Cs (0.7500, 0.6447, 0.9522)  5 As 3.73-3.91, 3 Cs 3.78-4.14, 2 Si 3.96
Si (0.7500, 0.2398, 0.9339)  3 As 2.32-2.33
Si (0.2500, 0.7602, 0.0661)  3 As 2.32-2.33
Si (0.2500, 0.2602, 0.4339)  3 As 2.32-2.33
Si (0.7500, 0.7398, 0.5661)  3 As 2.32-2.33
As (0.7500, 0.3955, 0.9118)  1 Si 2.32
As (0.2500, 0.8074, 0.9295)  1 Si 2.32
As (0.2500, 0.3074, 0.5705)  1 Si 2.32
As (0.2500, 0.1045, 0.4118)  1 Si 2.32
As (0.7500, 0.8955, 0.5882)  1 Si 2.32
As (0.7500, 0.6362, 0.6742)  1 Si 2.33
As (0.2500, 0.6045, 0.0882)  1 Si 2.32
As (0.7500, 0.1926, 0.0705)  1 Si 2.32
As (0.7500, 0.1362, 0.8258)  1 Si 2.33
As (0.2500, 0.3638, 0.3258)  1 Si 2.33
As (0.2500, 0.8638, 0.1742)  1 Si 2.33
As (0.7500, 0.6926, 0.4295)  1 Si 2.32

Output
space-group type: No. 62
formation enthalpy at 0 K: -390 meV per atom



6.
# PrNdAl4

A relaxed PrNdAl4 crystal (GGA-PBE, Materials Project).

Lattice parameters (Å, degrees): 5.7118 5.7118 5.7118 60.00 60.00 60.00
With the nearest neighbours (Å) after each atom.
Atoms (fractional coordinates):
Al (0.6249, 0.6249, 0.6249)  6 Al 2.85-2.86
Al (0.6249, 0.1252, 0.6249)  6 Al 2.85-2.86
Al (0.6249, 0.6249, 0.1252)  6 Al 2.85-2.86
Al (0.1252, 0.6249, 0.6249)  6 Al 2.85-2.86
Nd (0.2500, 0.2500, 0.2500)  12 Al 3.35, 4 Pr 3.50
Pr (0.0000, 0.0000, 0.0000)  12 Al 3.35, 4 Nd 3.50

Output
space-group type: No. 216
formation enthalpy at 0 K: -496 meV per atom